A plane-wave DFT calculation with r2SCAN was carried out for crystalline Nb2CrB2 at its relaxed geometry.

```
10
Lattice="0.000 0.000 3.256 5.954 0.000 0.000 0.000 5.954 0.000" Properties=species:S:1:pos:R:3 pbc="T T T"
Nb 1.900 1.077 1.628
B 2.322 5.299 0.000
Cr 0.000 0.000 0.000
B 0.655 2.322 0.000
Nb 4.877 1.900 1.628
Nb 1.077 4.054 1.628
B 3.632 0.655 0.000
Cr 2.977 2.977 0.000
B 5.299 3.632 0.000
Nb 4.054 4.877 1.628
```

Properties
Calculated total energy, eV per atom: -16.460
ΔH_f (0 K), meV per atom: -614
Spin magnetization, μB/cell: 0.5